[1]
A plane-wave DFT calculation with PBE was carried out for crystalline ZrTiCu at its relaxed geometry.

The structure belongs to space group I4mm (No. 107); the cell edges are 3.0932, 3.0932 and 10.9252 Å and the angles 90.00°, 90.00° and 90.00°. The asymmetric unit holds Zr at (0.0000, 0.0000, 0.0000), Ti at (0.0000, 0.0000, 0.3145) and Cu at (0.0000, 0.0000, 0.6797).

As for the crystal system: tetragonal. Its density is 6.438 g cm⁻³.

***

[2]
A plane-wave DFT calculation with PBE was carried out for crystalline Tl3Cu at its relaxed geometry.

The structure belongs to space group I4/mmm (No. 139); the cell edges are 4.5721, 4.5721 and 9.9726 Å and the angles 90.00°, 90.00° and 90.00°. The asymmetric unit holds Tl at (0.0000, 0.0000, 0.0000), Tl at (0.0000, 0.5000, 0.2500) and Cu at (0.0000, 0.0000, 0.5000).

As for the crystal system: tetragonal. Its density is 10.780 g cm⁻³. The magnetization is 0.0 Bohr magnetons per cell.

***

[3]
A plane-wave DFT calculation with PBE was carried out for crystalline Tl3Cu at its relaxed geometry.

The structure belongs to space group Pm-3m (No. 221); the cell edges are 4.7170, 4.7170 and 4.7170 Å and the angles 90.00°, 90.00° and 90.00°. The asymmetric unit holds Tl at (0.0000, 0.0000, 0.5000) and Cu at (0.5000, 0.5000, 0.5000).

As for the crystal system: cubic. Its density is 10.706 g cm⁻³. The magnetization is 0.0 Bohr magnetons per cell.

***

Number 1: energy -20.9 eV per formula unit. Number 2: energy -10.0 eV per formula unit. Number 3: energy -10.0 eV per formula unit.